{
  "formula": "PrTl3",
  "functional": "PBE",
  "state": "optimized geometry",
  "lattice": [[4.865, 0.000, 0.000], [0.000, 4.865, 0.000], [0.000, 0.000, 4.865]],
  "species": ["Pr", "Tl", "Tl", "Tl"],
  "frac_coords": [[0.000, 0.000, 0.000], [0.000, 0.500, 0.500], [0.500, 0.500, 0.000], [0.500, 0.000, 0.500]],
  "e_form_ev_per_atom": -0.336,
  "mass_density_g_cm3": 10.87
}